Entry 1:
# Zn3P3H10C2NO13, relaxed, DFT PBE
# Energy relative to the elements (eV per formula unit): -44.723
data_Zn3P3H10C2NO13
_space_group_name_H-M_alt 'P 1 21/c 1'
_space_group_IT_number 14
_cell_length_a 13.145
_cell_length_b 5.336
_cell_length_c 21.794
_cell_angle_alpha 90.00
_cell_angle_beta 94.43
_cell_angle_gamma 90.00
loop_
_space_group_symop_operation_xyz
'x,y,z'
'-x,-y,-z'
'-x,y+1/2,-z+1/2'
'x,-y+1/2,z+1/2'
loop_
_atom_site_label
_atom_site_fract_x
_atom_site_fract_y
_atom_site_fract_z
Zn1 0.002 0.232 0.165
Zn2 0.007 0.722 0.065
Zn3 0.389 0.221 0.547
P1 0.109 0.233 0.306
P2 0.139 0.238 0.053
P3 0.488 0.195 0.920
H1 0.185 0.661 0.677
H2 0.232 0.050 0.722
H3 0.251 0.217 0.360
H4 0.274 0.039 0.652
H5 0.274 0.616 0.742
H6 0.316 0.598 0.665
H7 0.379 0.225 0.839
H8 0.400 0.559 0.270
H9 0.402 0.223 0.725
H10 0.446 0.565 0.195
C1 0.264 0.689 0.695
C2 0.391 0.020 0.724
N1 0.285 0.537 0.197
O1 0.033 0.128 0.847
O2 0.066 0.110 0.596
O3 0.094 0.184 0.739
O4 0.111 0.547 0.820
O5 0.114 0.158 0.487
O6 0.114 0.543 0.558
O7 0.224 0.174 0.826
O8 0.249 0.207 0.578
O9 0.269 0.743 0.940
O10 0.406 0.156 0.965
O11 0.426 0.627 0.060
O12 0.430 0.165 0.360
O13 0.472 0.055 0.104

=====

Entry 2:
# Ca5Ga2Sb6, relaxed, DFT PBE
# Energy relative to the elements (eV per formula unit): -10.957
data_Ca5Ga2Sb6
_space_group_name_H-M_alt 'P b a m'
_space_group_IT_number 55
_cell_length_a 12.166
_cell_length_b 14.106
_cell_length_c 4.496
_cell_angle_alpha 90.00
_cell_angle_beta 90.00
_cell_angle_gamma 90.00
loop_
_space_group_symop_operation_xyz
'x,y,z'
'-x,-y,-z'
'-x,-y,z'
'x,y,-z'
'x+1/2,-y+1/2,-z'
'-x+1/2,y+1/2,z'
'-x+1/2,y+1/2,-z'
'x+1/2,-y+1/2,z'
loop_
_atom_site_label
_atom_site_fract_x
_atom_site_fract_y
_atom_site_fract_z
Ca1 0.000 0.000 0.000
Ca2 0.092 0.247 0.000
Ca3 0.172 0.517 0.000
Ga1 0.170 0.712 0.500
Sb1 0.026 0.400 0.500
Sb2 0.155 0.092 0.500
Sb3 0.163 0.823 0.000

=====

Entry 3:
# TmIn, relaxed, DFT PBE
# Energy relative to the elements (eV per formula unit): -0.808
data_TmIn
_space_group_name_H-M_alt 'P m -3 m'
_space_group_IT_number 221
_space_group_name_Hall '-P 4 2 3'
_cell_length_a 3.723
_cell_length_b 3.723
_cell_length_c 3.723
_cell_angle_alpha 90.00
_cell_angle_beta 90.00
_cell_angle_gamma 90.00
loop_
_atom_site_label
_atom_site_fract_x
_atom_site_fract_y
_atom_site_fract_z
Tm1 0.000 0.000 0.000
In1 0.500 0.500 0.500

=====

Entry 4:
# Na2Ge4O9, relaxed, DFT PBE
# Energy relative to the elements (eV per formula unit): -32.015
data_Na2Ge4O9
_space_group_name_H-M_alt 'P -3 c 1'
_space_group_IT_number 165
_space_group_name_Hall '-P 3 2"c'
_cell_length_a 11.4757
_cell_length_b 11.4757
_cell_length_c 9.8379
_cell_angle_alpha 90.00
_cell_angle_beta 90.00
_cell_angle_gamma 120.00
loop_
_atom_site_label
_atom_site_fract_x
_atom_site_fract_y
_atom_site_fract_z
Na1 0.0078 0.3370 0.4233
Ge1 0.0000 0.0000 0.0000
Ge2 0.0000 0.1764 0.7500
Ge3 0.1496 0.4938 0.7007
Ge4 0.3333 0.6667 0.4458
O1 0.0000 0.4950 0.7500
O2 0.0589 0.1550 0.3802
O3 0.1007 0.3250 0.6456
O4 0.1755 0.5836 0.0538
O5 0.2486 0.5113 0.3305

=====

Entry 5:
# Ce5Sn10Rh4, relaxed, DFT PBE
# Energy relative to the elements (eV per formula unit): -12.825
data_Ce5Sn10Rh4
_space_group_name_H-M_alt 'P 4/m b m'
_space_group_IT_number 127
_space_group_name_Hall '-P 4 2ab'
_cell_length_a 14.115
_cell_length_b 14.115
_cell_length_c 4.622
_cell_angle_alpha 90.00
_cell_angle_beta 90.00
_cell_angle_gamma 90.00
loop_
_atom_site_label
_atom_site_fract_x
_atom_site_fract_y
_atom_site_fract_z
Ce1 0.000 0.000 0.000
Ce2 0.111 0.389 0.500
Ce3 0.176 0.676 0.500
Sn1 0.004 0.839 0.500
Sn2 0.069 0.569 0.000
Sn3 0.154 0.200 0.000
Rh1 0.029 0.753 0.000

=====

Entry 6:
# SiNiW, relaxed, DFT PBE
# Energy relative to the elements (eV per formula unit): -0.760
data_SiNiW
_space_group_name_H-M_alt 'A m m 2'
_space_group_IT_number 38
_cell_length_a 7.633
_cell_length_b 4.840
_cell_length_c 8.066
_cell_angle_alpha 90.00
_cell_angle_beta 90.00
_cell_angle_gamma 90.00
loop_
_space_group_symop_operation_xyz
'x,y,z'
'-x,-y,z'
'-x,y,z'
'x,-y,z'
'x,y+1/2,z+1/2'
'-x,-y+1/2,z+1/2'
'-x,y+1/2,z+1/2'
'x,-y+1/2,z+1/2'
loop_
_atom_site_label
_atom_site_fract_x
_atom_site_fract_y
_atom_site_fract_z
Si1 0.000 0.245 0.000
Si2 0.270 0.000 0.395
Ni1 0.000 0.000 0.254
Ni2 0.500 0.000 0.571
Ni3 0.500 0.243 0.815
W1 0.188 0.000 0.740
W2 0.308 0.000 0.064

=====

Entry 7:
# Sr4Bi3, relaxed, DFT PBE
# Energy relative to the elements (eV per formula unit): -6.140
data_Sr4Bi3
_space_group_name_H-M_alt 'I -4 3 d'
_space_group_IT_number 220
_space_group_name_Hall 'I -4bd 2c 3'
_cell_length_a 10.225
_cell_length_b 10.225
_cell_length_c 10.225
_cell_angle_alpha 90.00
_cell_angle_beta 90.00
_cell_angle_gamma 90.00
loop_
_atom_site_label
_atom_site_fract_x
_atom_site_fract_y
_atom_site_fract_z
Sr1 0.073 0.427 0.573
Bi1 0.000 0.250 0.875

=====

Entry 8:
# Ba3NaSi23, relaxed, DFT PBE
# Energy relative to the elements (eV per formula unit): -1.189
data_Ba3NaSi23
_space_group_name_H-M_alt 'P m -3 n'
_space_group_IT_number 223
_space_group_name_Hall '-P 4n 2 3'
_cell_length_a 10.327
_cell_length_b 10.327
_cell_length_c 10.327
_cell_angle_alpha 90.00
_cell_angle_beta 90.00
_cell_angle_gamma 90.00
loop_
_atom_site_label
_atom_site_fract_x
_atom_site_fract_y
_atom_site_fract_z
Ba1 0.000 0.250 0.500
Na1 0.000 0.000 0.000
Si1 0.000 0.304 0.120
Si2 0.000 0.500 0.250
Si3 0.184 0.184 0.184